Record 1
Below is a geometry-optimized Pr3Al11 structure, with properties calculated at the GGA-PBE level.

```
Pr3Al11
1.0
-2.1877 5.0579 6.5272
2.1877 -5.0579 6.5272
2.1877 5.0579 -6.5272
Pr Al
3 11
direct
0.0000 0.0000 0.0000 Pr
0.3174 0.3174 0.0000 Pr
0.6826 0.6826 0.0000 Pr
0.0353 0.6658 0.3694 Al
0.1368 0.8627 0.2741 Al
0.2837 0.5000 0.7837 Al
0.2964 0.6658 0.6306 Al
0.4114 0.1373 0.2741 Al
0.5000 0.0000 0.5000 Al
0.5886 0.8627 0.7259 Al
0.7036 0.3342 0.3694 Al
0.7163 0.5000 0.2163 Al
0.8632 0.1373 0.7259 Al
0.9647 0.3342 0.6306 Al
```

Properties
Space group ... Immm, No. 71

Record 2
Below is a geometry-optimized Na3Ga structure, with properties calculated at the GGA-PBE level.

```
Na3Ga
1.0
4.8319 0.0000 0.0000
0.0000 4.8319 0.0000
0.0000 0.0000 4.8319
Na Ga
3 1
direct
0.0000 0.0000 0.5000 Na
0.0000 0.5000 0.0000 Na
0.5000 0.0000 0.0000 Na
0.5000 0.5000 0.5000 Ga
```

Properties
Space group ... Pm-3m, No. 221
Magnetization ... 0.010 μB/atom

Record 3
Below is a geometry-optimized V9Ga4Fe3 structure, with properties calculated at the GGA-PBE level.

```
V9Ga4Fe3
1.0
4.7003 0.0000 0.0000
0.0000 4.6650 0.0000
-0.0489 0.0000 9.4156
V Ga Fe
9 4 3
direct
0.0000 0.0000 0.0000 V
0.0005 0.0000 0.4958 V
0.2531 0.5000 0.6208 V
0.5020 0.2503 0.3703 V
0.5020 0.7497 0.3703 V
0.5055 0.2496 0.8737 V
0.5055 0.7504 0.8737 V
0.7513 0.5000 0.6209 V
0.7607 0.5000 0.1197 V
0.0042 0.5000 0.3676 Ga
0.0048 0.5000 0.8723 Ga
0.4986 0.0000 0.1226 Ga
0.5029 0.0000 0.6222 Ga
0.0026 0.0000 0.7480 Fe
0.0037 0.0000 0.2455 Fe
0.2553 0.5000 0.1193 Fe
```

Properties
Space group ... Pm, No. 6

no.,formation energy (meV/atom),electronic total energy (eV/atom)
1,-377,-4.34
2,36,-1.71
3,-224,-7.68